Computed, not measured: a relaxed CaAgPb crystal at the PBE level of DFT.

Cell and atoms, written as CIF:
```
data_CaAgPb
_symmetry_space_group_name_H-M 'P 3 m 1'
_symmetry_Int_Tables_number 156
_cell_length_a 4.9680
_cell_length_b 4.9680
_cell_length_c 11.2240
_cell_angle_alpha 90.00
_cell_angle_beta 90.00
_cell_angle_gamma 120.00
loop_
_symmetry_equiv_pos_as_xyz
'x,y,z'
'-y,x-y,z'
'-x+y,-x,z'
'-y,-x,z'
'-x+y,y,z'
'x,x-y,z'
loop_
_atom_site_label
_atom_site_type_symbol
_atom_site_fract_x
_atom_site_fract_y
_atom_site_fract_z
_atom_site_occupancy
Ca1 Ca 0.0000 0.0000 0.0000 1
Ca2 Ca 0.0000 0.0000 0.3319 1
Ca3 Ca 0.0000 0.0000 0.6638 1
Ag1 Ag 0.3333 0.6667 0.1359 1
Ag2 Ag 0.3333 0.6667 0.5244 1
Ag3 Ag 0.6667 0.3333 0.8309 1
Pb1 Pb 0.3333 0.6667 0.8334 1
Pb2 Pb 0.6667 0.3333 0.1817 1
Pb3 Pb 0.6667 0.3333 0.4832 1
```


Computed, not measured: a relaxed Ca2AgPd2 crystal at the PBE level of DFT.

Cell and atoms, written as CIF:
```
data_Ca2AgPd2
_symmetry_space_group_name_H-M 'I m m m'
_symmetry_Int_Tables_number 71
_symmetry_space_group_name_Hall '-I 2 2'
_cell_length_a 4.5313
_cell_length_b 5.8598
_cell_length_c 8.4888
_cell_angle_alpha 90.00
_cell_angle_beta 90.00
_cell_angle_gamma 90.00
loop_
_atom_site_label
_atom_site_type_symbol
_atom_site_fract_x
_atom_site_fract_y
_atom_site_fract_z
_atom_site_occupancy
Ca1 Ca 0.0000 0.0000 0.2021 1
Ag1 Ag 0.0000 0.5000 0.0000 1
Pd1 Pd 0.0000 0.2690 0.5000 1
```


Computed, not measured: a relaxed CaPmAg2 crystal at the PBE level of DFT.

Cell and atoms, written as CIF:
```
data_CaPmAg2
_symmetry_space_group_name_H-M 'F m -3 m'
_symmetry_Int_Tables_number 225
_symmetry_space_group_name_Hall '-F 4 2 3'
_cell_length_a 7.4313
_cell_length_b 7.4313
_cell_length_c 7.4313
_cell_angle_alpha 90.00
_cell_angle_beta 90.00
_cell_angle_gamma 90.00
loop_
_atom_site_label
_atom_site_type_symbol
_atom_site_fract_x
_atom_site_fract_y
_atom_site_fract_z
_atom_site_occupancy
Ca1 Ca 0.0000 0.0000 0.0000 1
Pm1 Pm 0.0000 0.0000 0.5000 1
Ag1 Ag 0.2500 0.2500 0.2500 1
```


Computed, not measured: a relaxed CaPrAg2 crystal at the PBE level of DFT.

Cell and atoms, written as CIF:
```
data_CaPrAg2
_symmetry_space_group_name_H-M 'F m -3 m'
_symmetry_Int_Tables_number 225
_symmetry_space_group_name_Hall '-F 4 2 3'
_cell_length_a 7.4916
_cell_length_b 7.4916
_cell_length_c 7.4916
_cell_angle_alpha 90.00
_cell_angle_beta 90.00
_cell_angle_gamma 90.00
loop_
_atom_site_label
_atom_site_type_symbol
_atom_site_fract_x
_atom_site_fract_y
_atom_site_fract_z
_atom_site_occupancy
Ca1 Ca 0.0000 0.0000 0.0000 1
Pr1 Pr 0.0000 0.0000 0.5000 1
Ag1 Ag 0.2500 0.2500 0.2500 1
```


Computed, not measured: a relaxed Ca2AgRh crystal at the PBE level of DFT.

Cell and atoms, written as CIF:
```
data_Ca2AgRh
_symmetry_space_group_name_H-M 'F m -3 m'
_symmetry_Int_Tables_number 225
_symmetry_space_group_name_Hall '-F 4 2 3'
_cell_length_a 7.1365
_cell_length_b 7.1365
_cell_length_c 7.1365
_cell_angle_alpha 90.00
_cell_angle_beta 90.00
_cell_angle_gamma 90.00
loop_
_atom_site_label
_atom_site_type_symbol
_atom_site_fract_x
_atom_site_fract_y
_atom_site_fract_z
_atom_site_occupancy
Ca1 Ca 0.2500 0.2500 0.2500 1
Ag1 Ag 0.0000 0.0000 0.0000 1
Rh1 Rh 0.0000 0.0000 0.5000 1
```


Computed, not measured: a relaxed CaAgSb crystal at the PBE level of DFT.

Total energy after the MP2020 corrections   -3.750 eV/atom

Cell and atoms, written as CIF:
```
data_CaAgSb
_symmetry_space_group_name_H-M 'P n m a'
_symmetry_Int_Tables_number 62
_cell_length_a 7.7475
_cell_length_b 4.6257
_cell_length_c 8.5253
_cell_angle_alpha 90.00
_cell_angle_beta 90.00
_cell_angle_gamma 90.00
loop_
_symmetry_equiv_pos_as_xyz
'x,y,z'
'-x,-y,-z'
'-x+1/2,-y,z+1/2'
'x+1/2,y,-z+1/2'
'x+1/2,-y+1/2,-z+1/2'
'-x+1/2,y+1/2,z+1/2'
'-x,y+1/2,-z'
'x,-y+1/2,z'
loop_
_atom_site_label
_atom_site_type_symbol
_atom_site_fract_x
_atom_site_fract_y
_atom_site_fract_z
_atom_site_occupancy
Ca1 Ca 0.0212 0.2500 0.1933 1
Ag1 Ag 0.1415 0.2500 0.5641 1
Sb1 Sb 0.2424 0.7500 0.3852 1
```


Computed, not measured: a relaxed CaSmAg2 crystal at the PBE level of DFT.

Cell and atoms, written as CIF:
```
data_CaSmAg2
_symmetry_space_group_name_H-M 'F m -3 m'
_symmetry_Int_Tables_number 225
_symmetry_space_group_name_Hall '-F 4 2 3'
_cell_length_a 7.4064
_cell_length_b 7.4064
_cell_length_c 7.4064
_cell_angle_alpha 90.00
_cell_angle_beta 90.00
_cell_angle_gamma 90.00
loop_
_atom_site_label
_atom_site_type_symbol
_atom_site_fract_x
_atom_site_fract_y
_atom_site_fract_z
_atom_site_occupancy
Ca1 Ca 0.0000 0.0000 0.0000 1
Sm1 Sm 0.0000 0.0000 0.5000 1
Ag1 Ag 0.2500 0.2500 0.2500 1
```


Computed, not measured: a relaxed CaAg2Sn crystal at the PBE level of DFT.

Cell and atoms, written as CIF:
```
data_CaAg2Sn
_symmetry_space_group_name_H-M 'F m -3 m'
_symmetry_Int_Tables_number 225
_symmetry_space_group_name_Hall '-F 4 2 3'
_cell_length_a 7.0895
_cell_length_b 7.0895
_cell_length_c 7.0895
_cell_angle_alpha 90.00
_cell_angle_beta 90.00
_cell_angle_gamma 90.00
loop_
_atom_site_label
_atom_site_type_symbol
_atom_site_fract_x
_atom_site_fract_y
_atom_site_fract_z
_atom_site_occupancy
Ca1 Ca 0.0000 0.0000 0.0000 1
Ag1 Ag 0.2500 0.2500 0.2500 1
Sn1 Sn 0.0000 0.0000 0.5000 1
```


E_form values, unit meV/atom, following the record order: -395; -614; -314; -315; -325; -761; -311; -346.